Arrangement 1

First-principles (GGA+U) data for an optimized crystal structure of LiFeP4O12, as listed in the Materials Project.

Size of the total moment in μB per formula unit: 5.0

Cell lengths 13.0409, 8.1203, 9.5197 Å; angles 90.00, 90.00, 90.00 degrees
Space group Pbcn (No. 60)
Asymmetric unit:
Li (0.0000, 0.0790, 0.2500) x4
Fe (0.0000, 0.4808, 0.2500) x4
P (0.1370, 0.3296, 0.5040) x8
P (0.1465, 0.0471, 0.9996) x8
O (0.0594, 0.3381, 0.3841) x8
O (0.0779, 0.0600, 0.8764) x8
O (0.0992, 0.4102, 0.6394) x8
O (0.1301, 0.1395, 0.1321) x8
O (0.1663, 0.1494, 0.5401) x8
O (0.2347, 0.4180, 0.4439) x8

=====

Arrangement 2

First-principles (GGA+U) data for an optimized crystal structure of LiFeP4O12, as listed in the Materials Project.

Size of the total moment in μB per formula unit: 5.0

Cell lengths 7.2216, 9.5116, 7.2230 Å; angles 90.00, 95.56, 90.00 degrees
Space group P2_1 (No. 4)
Asymmetric unit:
Li (0.2260, 0.0000, 0.2477) x2
Fe (0.2121, 0.2433, 0.7137) x2
P (0.1100, 0.5806, 0.0907) x2
P (0.1138, 0.3666, 0.3965) x2
P (0.2899, 0.9002, 0.6537) x2
P (0.4845, 0.7034, 0.9577) x2
O (0.0046, 0.0040, 0.0562) x2
O (0.0251, 0.7015, 0.1939) x2
O (0.0911, 0.8292, 0.6921) x2
O (0.1132, 0.4313, 0.5900) x2
O (0.1980, 0.4689, 0.2518) x2
O (0.2207, 0.2287, 0.4221) x2
O (0.2846, 0.0493, 0.7254) x2
O (0.2939, 0.6435, 0.0212) x2
O (0.3360, 0.8799, 0.4598) x2
O (0.4065, 0.0904, 0.1191) x2
O (0.4224, 0.2936, 0.8829) x2
O (0.4215, 0.8163, 0.8013) x2

=====

Which one sits at the bottom of the stability order? arrangement 2 does.

=====

Arrangement 1

First-principles (GGA+U) data for an optimized crystal structure of Li3FeP2O8, as listed in the Materials Project.

Size of the total moment in μB per formula unit: 5.0

Cell lengths 8.5835, 9.9243, 16.4828 Å; angles 90.00, 115.53, 90.00 degrees
Space group P2_1/c (No. 14)
Asymmetric unit:
Li (0.0228, 0.0948, 0.4497) x4
Li (0.0292, 0.6248, 0.7513) x4
Li (0.2484, 0.0815, 0.0002) x4
Li (0.2804, 0.5840, 0.9898) x4
Li (0.3783, 0.6109, 0.7920) x4
Li (0.3952, 0.6171, 0.2219) x4
Fe (0.0330, 0.1325, 0.1210) x4
Fe (0.4341, 0.1214, 0.8618) x4
P (0.1708, 0.6623, 0.6003) x4
P (0.2211, 0.1470, 0.6389) x4
P (0.2535, 0.1451, 0.3420) x4
P (0.3714, 0.6642, 0.4146) x4
O (0.0228, 0.5583, 0.5826) x4
O (0.0616, 0.1687, 0.6604) x4
O (0.1083, 0.7370, 0.0220) x4
O (0.1500, 0.0657, 0.2507) x4
O (0.1837, 0.0299, 0.5727) x4
O (0.2001, 0.2021, 0.8337) x4
O (0.2081, 0.5984, 0.4161) x4
O (0.2167, 0.0775, 0.4146) x4
O (0.2231, 0.7309, 0.6923) x4
O (0.2369, 0.2101, 0.1022) x4
O (0.3260, 0.5784, 0.6029) x4
O (0.3418, 0.6866, 0.8906) x4
O (0.3924, 0.1134, 0.7243) x4
O (0.4006, 0.5794, 0.3423) x4
O (0.4482, 0.1518, 0.3582) x4
O (0.4709, 0.1412, 0.9927) x4

=====

Arrangement 2

First-principles (GGA+U) data for an optimized crystal structure of Li3FeP2O8, as listed in the Materials Project.

Size of the total moment in μB per formula unit: 5.0

Cell lengths 4.9217, 8.8314, 7.8539 Å; angles 90.00, 124.35, 90.00 degrees
Space group P2_1/c (No. 14)
Asymmetric unit:
Li (0.0000, 0.0000, 0.0000) x2
Li (0.3239, 0.1400, 0.8094) x4
Fe (0.5000, 0.0000, 0.5000) x2
P (0.1930, 0.6811, 0.2212) x4
O (0.1449, 0.1315, 0.4759) x4
O (0.1740, 0.6434, 0.7458) x4
O (0.2573, 0.5983, 0.4101) x4
O (0.4752, 0.6445, 0.1911) x4

=====

Which one sits at the bottom of the stability order? arrangement 1 does.

=====

Arrangement 1

First-principles (GGA+U) data for an optimized crystal structure of MgCo6O8F4, as listed in the Materials Project.

Size of the total moment in μB per formula unit: 18.0

Cell lengths 8.1244, 6.1540, 8.8216 Å; angles 90.00, 90.92, 90.00 degrees
Space group Cm (No. 8)
Asymmetric unit:
Mg (0.0000, 0.0000, 0.0000) x2
Co (0.2021, 0.5000, 0.8313) x2
Co (0.2540, 0.5000, 0.1880) x2
Co (0.2900, 0.0000, 0.3364) x2
Co (0.3064, 0.0000, 0.6703) x2
Co (0.3283, 0.5000, 0.5134) x2
Co (0.3327, 0.0000, 0.0090) x2
O (0.1685, 0.0000, 0.1564) x2
O (0.2918, 0.3051, 0.6725) x4
O (0.3009, 0.3080, 0.0062) x4
O (0.3041, 0.3080, 0.3450) x4
O (0.4805, 0.0000, 0.8444) x2
F (0.0031, 0.5000, 0.1795) x2
F (0.1175, 0.0000, 0.4994) x2
F (0.1307, 0.0000, 0.8291) x2
F (0.4597, 0.0000, 0.5046) x2

=====

Arrangement 2

First-principles (GGA+U) data for an optimized crystal structure of MgCo6O8F4, as listed in the Materials Project.

Size of the total moment in μB per formula unit: 16.0

Cell lengths 5.0574, 5.6051, 7.6515 Å; angles 81.12, 81.18, 80.05 degrees
Space group P1 (No. 1)
Asymmetric unit:
Mg (0.0000, 0.0000, 0.0000) x1
Co (0.4751, 0.8530, 0.1877) x1
Co (0.5063, 0.2059, 0.8518) x1
Co (0.5123, 0.5516, 0.5293) x1
Co (0.9204, 0.6215, 0.8076) x1
Co (0.9656, 0.0151, 0.5122) x1
Co (0.9750, 0.3838, 0.1830) x1
O (0.2877, 0.1542, 0.0780) x1
O (0.2885, 0.8184, 0.4191) x1
O (0.2951, 0.4890, 0.7500) x1
O (0.6726, 0.2337, 0.6140) x1
O (0.6738, 0.8781, 0.9523) x1
O (0.6805, 0.5669, 0.2896) x1
O (0.7915, 0.7404, 0.5996) x1
O (0.8162, 0.3598, 0.9551) x1
F (0.1369, 0.2968, 0.4089) x1
F (0.1376, 0.9733, 0.7518) x1
F (0.1789, 0.6744, 0.0946) x1
F (0.8127, 0.0511, 0.2568) x1

=====

Which one sits at the bottom of the stability order? arrangement 1 does.

=====

Arrangement 1

First-principles (GGA+U) data for an optimized crystal structure of Li2CrP2O7, as listed in the Materials Project.

Size of the total moment in μB per formula unit: 4.0

Cell lengths 5.1041, 13.7093, 9.1995 Å; angles 90.00, 120.20, 90.00 degrees
Space group P2_1/c (No. 14)
Asymmetric unit:
Li (0.0504, 0.1006, 0.3587) x4
Li (0.4313, 0.1975, 0.1710) x4
Cr (0.0288, 0.1532, 0.7413) x4
P (0.2613, 0.6734, 0.5300) x4
P (0.4881, 0.5249, 0.7763) x4
O (0.0123, 0.1829, 0.1473) x4
O (0.2027, 0.7214, 0.6633) x4
O (0.2421, 0.5305, 0.8268) x4
O (0.2575, 0.1019, 0.6277) x4
O (0.3124, 0.5583, 0.5767) x4
O (0.3878, 0.5755, 0.2189) x4
O (0.4405, 0.2107, 0.9534) x4

=====

Arrangement 2

First-principles (GGA+U) data for an optimized crystal structure of Li2CrP2O7, as listed in the Materials Project.

Size of the total moment in μB per formula unit: 4.0

Cell lengths 7.9175, 12.8603, 11.2320 Å; angles 90.00, 90.82, 90.00 degrees
Space group C2/c (No. 15)
Asymmetric unit:
Li (0.0000, 0.2096, 0.2500) x4
Li (0.0000, 0.2156, 0.7500) x4
Li (0.0066, 0.2134, 0.5008) x8
Cr (0.2026, 0.0010, 0.1201) x8
P (0.1921, 0.3918, 0.6270) x8
P (0.2024, 0.3860, 0.1295) x8
O (0.0545, 0.3111, 0.6254) x8
O (0.0735, 0.3002, 0.1257) x8
O (0.0950, 0.4954, 0.1261) x8
O (0.1810, 0.1095, 0.9800) x8
O (0.1916, 0.1118, 0.7536) x8
O (0.1950, 0.1088, 0.2594) x8
O (0.1974, 0.1106, 0.4856) x8

=====

Which one sits at the bottom of the stability order? arrangement 1 does.